(1)
This record from Materials Project describes crystalline KTb3F10 at its relaxed geometry. The functional is PBE-GGA.

Summary:
* V: 14.42 Å³/atom
* energy: -179.3 eV per cell
* E (MP2020): -6.734 eV/atom
* energy of formation from the pure elements: -60.11 eV per formula unit

```
KTb3F10
1.0
0.000 5.866 5.866
5.866 0.000 5.866
5.866 5.866 0.000
F Tb K
20 6 2
Direct
0.830 0.500 0.170
0.500 0.830 0.500
0.170 0.500 0.830
0.665 0.112 0.112
0.112 0.112 0.112
0.830 0.170 0.500
0.830 0.500 0.500
0.888 0.335 0.888
0.500 0.830 0.170
0.500 0.500 0.830
0.500 0.500 0.170
0.335 0.888 0.888
0.170 0.500 0.500
0.170 0.830 0.500
0.500 0.170 0.500
0.888 0.888 0.888
0.888 0.888 0.335
0.500 0.170 0.830
0.112 0.112 0.665
0.112 0.665 0.112
0.240 0.760 0.760
0.240 0.240 0.760
0.760 0.760 0.240
0.240 0.760 0.240
0.760 0.240 0.760
0.760 0.240 0.240
0.250 0.250 0.250
0.750 0.750 0.750
```

***

(2)
This record from Materials Project describes crystalline K3TbF6 at its relaxed geometry. The functional is PBE-GGA.

Summary:
* V: 19.58 Å³/atom
* energy: -105.3 eV per cell
* E (MP2020): -5.543 eV/atom
* energy of formation from the pure elements: -35.97 eV per formula unit

```
K3TbF6
1.0
6.648 0.000 0.000
0.000 6.435 0.000
0.000 6.365 9.156
F Tb K
12 2 6
Direct
0.445 0.886 0.725
0.055 0.886 0.225
0.775 0.765 0.568
0.945 0.114 0.775
0.174 0.668 0.051
0.275 0.235 0.932
0.225 0.235 0.432
0.826 0.332 0.949
0.326 0.668 0.551
0.674 0.332 0.449
0.555 0.114 0.275
0.725 0.765 0.068
0.000 0.000 0.000
0.500 0.000 0.500
0.000 0.500 0.500
0.451 0.733 0.254
0.500 0.500 0.000
0.549 0.267 0.746
0.049 0.733 0.754
0.951 0.267 0.246
```

***

(3)
This record from Materials Project describes crystalline K3TbF6 at its relaxed geometry. The functional is PBE-GGA.

Summary:
* V: 23.75 Å³/atom
* energy: -51.6 eV per cell
* E (MP2020): -5.438 eV/atom
* energy of formation from the pure elements: -34.93 eV per formula unit

```
K3TbF6
1.0
-3.588 -3.588 4.612
-3.588 3.588 -4.612
3.588 -3.588 -4.612
F K Tb
6 3 1
Direct
0.000 0.761 0.761
0.306 0.306 0.000
0.694 0.694 0.000
0.694 0.000 0.694
0.306 0.000 0.306
0.000 0.239 0.239
0.000 0.500 0.500
0.500 0.750 0.250
0.500 0.250 0.750
0.000 0.000 0.000
```

***

(4)
This record from Materials Project describes crystalline K2TcF6 at its relaxed geometry. The functional is PBE-GGA.

Summary:
* V: 15.85 Å³/atom
* energy: -46.8 eV per cell
* E (MP2020): -5.512 eV/atom
* energy of formation from the pure elements: -25.54 eV per formula unit

```
K2TcF6
1.0
-5.336 -0.889 -2.393
2.797 -4.443 2.725
-2.028 1.219 4.070
F K Tc
6 2 1
Direct
0.839 0.677 0.772
0.839 0.161 0.772
0.161 0.323 0.228
0.161 0.839 0.228
0.323 0.161 0.772
0.677 0.839 0.228
0.333 0.667 0.702
0.667 0.333 0.298
0.000 0.000 0.000
```

***

(5)
This record from Materials Project describes crystalline KTh2F9 at its relaxed geometry. The functional is PBE-GGA.

Summary:
* V: 15.99 Å³/atom
* energy: -322.2 eV per cell
* E (MP2020): -7.060 eV/atom
* energy of formation from the pure elements: -51.54 eV per formula unit

```
KTh2F9
1.0
7.258 0.000 0.000
0.000 8.941 0.000
0.000 0.000 11.831
F Th K
36 8 4
Direct
0.529 0.790 0.905
0.971 0.290 0.905
0.029 0.710 0.405
0.662 0.321 0.750
0.424 0.504 0.902
0.855 0.283 0.106
0.076 0.004 0.902
0.924 0.996 0.098
0.576 0.496 0.402
0.529 0.790 0.595
0.801 0.563 0.580
0.029 0.710 0.095
0.145 0.717 0.606
0.199 0.437 0.080
0.301 0.937 0.420
0.645 0.783 0.394
0.699 0.063 0.920
0.355 0.217 0.606
0.355 0.217 0.894
0.801 0.563 0.920
0.424 0.504 0.598
0.855 0.283 0.394
0.145 0.717 0.894
0.924 0.996 0.402
0.162 0.179 0.250
0.076 0.004 0.598
0.645 0.783 0.106
0.838 0.821 0.750
0.199 0.437 0.420
0.576 0.496 0.098
0.699 0.063 0.580
0.338 0.679 0.250
0.471 0.210 0.095
0.971 0.290 0.595
0.471 0.210 0.405
0.301 0.937 0.080
0.847 0.825 0.950
0.347 0.675 0.450
0.653 0.325 0.950
0.847 0.825 0.550
0.347 0.675 0.050
0.153 0.175 0.050
0.153 0.175 0.450
0.653 0.325 0.550
0.144 0.463 0.750
0.356 0.963 0.750
0.644 0.037 0.250
0.856 0.537 0.250
```

***

(6)
This record from Materials Project describes crystalline KTh6F25 at its relaxed geometry. The functional is PBE-GGA.

Summary:
* V: 16.15 Å³/atom
* ΔE to the lowest computed polymorph: 0 meV/atom
* energy: -223.1 eV per cell
* E (MP2020): -7.334 eV/atom
* energy of formation from the pure elements: -141.23 eV per formula unit

```
KTh6F25
1.0
-8.182 4.907 -2.176
-6.696 -1.851 -6.892
-9.337 -2.753 1.003
F Th K
25 6 1
Direct
0.253 0.253 0.689
0.747 0.311 0.747
0.253 0.689 0.253
0.178 0.500 0.822
0.000 0.500 0.500
0.873 0.448 0.873
0.127 0.127 0.552
0.500 0.000 0.500
0.500 0.178 0.822
0.178 0.822 0.500
0.210 0.210 0.210
0.450 0.450 0.450
0.127 0.552 0.127
0.448 0.873 0.873
0.822 0.500 0.178
0.790 0.790 0.790
0.311 0.747 0.747
0.550 0.550 0.550
0.500 0.500 0.000
0.822 0.178 0.500
0.747 0.747 0.311
0.689 0.253 0.253
0.500 0.822 0.178
0.873 0.873 0.448
0.552 0.127 0.127
0.408 0.408 0.909
0.592 0.091 0.592
0.408 0.909 0.408
0.592 0.592 0.091
0.091 0.592 0.592
0.909 0.408 0.408
0.000 0.000 0.000
```